[1]
# MgFe2Cu6SnS8, relaxed, DFT PBE-GGA
# - ΔH_f (0 K) (meV/atom) = -532
# - E (MP2020) (eV/atom) = -4.990
# - E above lowest polymorph (meV per atom) = 11
data_MgFe2Cu6SnS8
_chemical_formula_sum 'Mg1 Fe2 Cu6 Sn1 S8'
_cell_length_a 7.733
_cell_length_b 7.746
_cell_length_c 5.495
_cell_angle_alpha 90.00
_cell_angle_beta 90.00
_cell_angle_gamma 90.00
_space_group_name_H-M_alt 'P m m 2'
_space_group_IT_number 25
loop_
_space_group_symop_operation_xyz
'x,y,z'
'-x,-y,z'
'-x,y,z'
'x,-y,z'
loop_
_atom_site_label
_atom_site_type_symbol
_atom_site_fract_x
_atom_site_fract_y
_atom_site_fract_z
Mg1 Mg 0.000 0.000 0.000
Fe1 Fe 0.000 0.500 0.492
Fe2 Fe 0.000 0.500 0.972
Cu1 Cu 0.000 0.000 0.500
Cu2 Cu 0.260 0.259 0.971
Cu3 Cu 0.500 0.500 0.483
Sn1 Sn 0.500 0.000 0.437
S1 S 0.000 0.260 0.237
S2 S 0.248 0.500 0.724
S3 S 0.250 0.000 0.734
S4 S 0.500 0.274 0.213


[2]
# Si3Ru4, relaxed, DFT PBE-GGA
# - ΔH_f (0 K) (meV/atom) = -550
data_Si3Ru4
_chemical_formula_sum 'Si12 Ru16'
_cell_length_a 5.235
_cell_length_b 4.034
_cell_length_c 17.339
_cell_angle_alpha 90.00
_cell_angle_beta 90.00
_cell_angle_gamma 90.00
_space_group_name_H-M_alt 'P n m a'
_space_group_IT_number 62
loop_
_space_group_symop_operation_xyz
'x,y,z'
'-x,-y,-z'
'-x+1/2,-y,z+1/2'
'x+1/2,y,-z+1/2'
'x+1/2,-y+1/2,-z+1/2'
'-x+1/2,y+1/2,z+1/2'
'-x,y+1/2,-z'
'x,-y+1/2,z'
loop_
_atom_site_label
_atom_site_type_symbol
_atom_site_fract_x
_atom_site_fract_y
_atom_site_fract_z
Si1 Si 0.003 0.250 0.104
Si2 Si 0.121 0.750 0.309
Si3 Si 0.150 0.250 0.534
Ru1 Ru 0.010 0.250 0.393
Ru2 Ru 0.155 0.750 0.764
Ru3 Ru 0.158 0.750 0.164
Ru4 Ru 0.174 0.250 0.971


[3]
# TmZnSn2, relaxed, DFT PBE-GGA
# - ΔH_f (0 K) (meV/atom) = -406
data_TmZnSn2
_chemical_formula_sum 'Tm2 Zn2 Sn4'
_cell_length_a 4.341
_cell_length_b 4.341
_cell_length_c 9.792
_cell_angle_alpha 90.00
_cell_angle_beta 90.00
_cell_angle_gamma 90.00
_space_group_name_H-M_alt 'P 4/n m m'
_space_group_IT_number 129
loop_
_space_group_symop_operation_xyz
'x,y,z'
'-x,-y,-z'
'-y+1/2,x,z'
'y+1/2,-x,-z'
'-x+1/2,-y+1/2,z'
'x+1/2,y+1/2,-z'
'y,-x+1/2,z'
'-y,x+1/2,-z'
'x+1/2,-y,-z'
'-x+1/2,y,z'
'-y,-x,-z'
'y,x,z'
'-x,y+1/2,-z'
'x,-y+1/2,z'
'y+1/2,x+1/2,-z'
'-y+1/2,-x+1/2,z'
loop_
_atom_site_label
_atom_site_type_symbol
_atom_site_fract_x
_atom_site_fract_y
_atom_site_fract_z
Tm1 Tm 0.250 0.250 0.250
Zn1 Zn 0.250 0.750 0.000
Sn1 Sn 0.250 0.250 0.811
Sn2 Sn 0.250 0.750 0.500


[4]
# HfC, relaxed, DFT PBE-GGA
# - ΔH_f (0 K) (meV/atom) = -175
# - E above lowest polymorph (meV per atom) = 763
data_HfC
_chemical_formula_sum 'Hf1 C1'
_cell_length_a 3.2307
_cell_length_b 3.2307
_cell_length_c 2.9165
_cell_angle_alpha 90.00
_cell_angle_beta 90.00
_cell_angle_gamma 120.00
_space_group_name_H-M_alt 'P -6 m 2'
_space_group_IT_number 187
_space_group_name_Hall 'P -6 2'
loop_
_atom_site_label
_atom_site_type_symbol
_atom_site_fract_x
_atom_site_fract_y
_atom_site_fract_z
Hf1 Hf 0.0000 0.0000 0.0000
C1 C 0.3333 0.6667 0.5000


[5]
# Te2MoWS2, relaxed, DFT PBE-GGA
# - ΔH_f (0 K) (meV/atom) = -634
# - E (MP2020) (eV/atom) = -7.027
# - E above lowest polymorph (meV per atom) = 0
data_Te2MoWS2
_chemical_formula_sum 'Te4 Mo2 W2 S4'
_cell_length_a 3.3557
_cell_length_b 3.3557
_cell_length_c 38.3183
_cell_angle_alpha 90.00
_cell_angle_beta 90.00
_cell_angle_gamma 120.00
_space_group_name_H-M_alt 'P -3 m 1'
_space_group_IT_number 164
_space_group_name_Hall '-P 3 2"'
loop_
_atom_site_label
_atom_site_type_symbol
_atom_site_fract_x
_atom_site_fract_y
_atom_site_fract_z
Te1 Te 0.3333 0.6667 0.2324
Te2 Te 0.3333 0.6667 0.3312
Mo1 Mo 0.3333 0.6667 0.7182
W1 W 0.3333 0.6667 0.0939
S1 S 0.3333 0.6667 0.8664
S2 S 0.3333 0.6667 0.9457


[6]
# KNdH6C4O11, relaxed, DFT PBE-GGA
# - ΔH_f (0 K) (meV/atom) = -1806
# - E (MP2020) (eV/atom) = -6.918
data_KNdH6C4O11
_chemical_formula_sum 'K8 Nd8 H48 C32 O88'
_cell_length_a 23.488
_cell_length_b 7.537
_cell_length_c 13.027
_cell_angle_alpha 90.00
_cell_angle_beta 99.38
_cell_angle_gamma 90.00
_space_group_name_H-M_alt 'C 1 2/c 1'
_space_group_IT_number 15
loop_
_space_group_symop_operation_xyz
'x,y,z'
'-x,-y,-z'
'-x,y,-z+1/2'
'x,-y,z+1/2'
'x+1/2,y+1/2,z'
'-x+1/2,-y+1/2,-z'
'-x+1/2,y+1/2,-z+1/2'
'x+1/2,-y+1/2,z+1/2'
loop_
_atom_site_label
_atom_site_type_symbol
_atom_site_fract_x
_atom_site_fract_y
_atom_site_fract_z
K1 K 0.080 0.000 0.370
Nd1 Nd 0.137 0.499 0.014
H1 H 0.053 0.093 0.115
H2 H 0.059 0.115 0.636
H3 H 0.181 0.141 0.623
H4 H 0.185 0.117 0.218
H5 H 0.200 0.144 0.511
H6 H 0.213 0.019 0.802
C1 C 0.001 0.404 0.024
C2 C 0.112 0.422 0.756
C3 C 0.150 0.409 0.269
C4 C 0.229 0.170 0.988
O1 O 0.039 0.007 0.654
O2 O 0.045 0.340 0.454
O3 O 0.050 0.326 0.038
O4 O 0.097 0.361 0.839
O5 O 0.098 0.360 0.665
O6 O 0.160 0.338 0.358
O7 O 0.169 0.352 0.189
O8 O 0.174 0.200 0.553
O9 O 0.176 0.197 0.988
O10 O 0.187 0.011 0.735
O11 O 0.248 0.478 0.031


[7]
# LaYB4Rh6, relaxed, DFT PBE-GGA
# - ΔH_f (0 K) (meV/atom) = -678
data_LaYB4Rh6
_chemical_formula_sum 'La1 Y1 B4 Rh6'
_cell_length_a 3.130
_cell_length_b 5.502
_cell_length_c 9.535
_cell_angle_alpha 90.00
_cell_angle_beta 90.00
_cell_angle_gamma 90.00
_space_group_name_H-M_alt 'P m m m'
_space_group_IT_number 47
loop_
_space_group_symop_operation_xyz
'x,y,z'
'-x,-y,-z'
'-x,-y,z'
'x,y,-z'
'x,-y,-z'
'-x,y,z'
'-x,y,-z'
'x,-y,z'
loop_
_atom_site_label
_atom_site_type_symbol
_atom_site_fract_x
_atom_site_fract_y
_atom_site_fract_z
La1 La 0.000 0.000 0.000
Y1 Y 0.000 0.500 0.500
B1 B 0.000 0.000 0.334
B2 B 0.000 0.500 0.167
Rh1 Rh 0.500 0.000 0.500
Rh2 Rh 0.500 0.253 0.255
Rh3 Rh 0.500 0.500 0.000


[8]
# WI3, relaxed, DFT PBE-GGA
# - ΔH_f (0 K) (meV/atom) = -393
# - E (MP2020) (eV/atom) = -4.775
data_WI3
_chemical_formula_sum 'W24 I72'
_cell_length_a 12.650
_cell_length_b 12.650
_cell_length_c 25.662
_cell_angle_alpha 90.00
_cell_angle_beta 90.00
_cell_angle_gamma 90.00
_space_group_name_H-M_alt 'P 41 21 2'
_space_group_IT_number 92
loop_
_space_group_symop_operation_xyz
'x,y,z'
'-y+1/2,x+1/2,z+1/4'
'-x,-y,z+1/2'
'y+1/2,-x+1/2,z+3/4'
'x+1/2,-y+1/2,-z+3/4'
'-y,-x,-z+1/2'
'-x+1/2,y+1/2,-z+1/4'
'y,x,-z'
loop_
_atom_site_label
_atom_site_type_symbol
_atom_site_fract_x
_atom_site_fract_y
_atom_site_fract_z
W1 W 0.076 0.325 0.240
W2 W 0.163 0.673 0.573
W3 W 0.175 0.772 0.490
I1 I 0.010 0.518 0.556
I2 I 0.011 0.829 0.556
I3 I 0.020 0.179 0.317
I4 I 0.024 0.674 0.427
I5 I 0.038 0.818 0.067
I6 I 0.132 0.676 0.687
I7 I 0.140 0.822 0.197
I8 I 0.158 0.173 0.813
I9 I 0.173 0.680 0.933


[9]
# NdPt, relaxed, DFT PBE-GGA
# - ΔH_f (0 K) (meV/atom) = -1135
data_NdPt
_chemical_formula_sum 'Nd4 Pt4'
_cell_length_a 3.905
_cell_length_b 10.900
_cell_length_c 4.599
_cell_angle_alpha 90.00
_cell_angle_beta 90.00
_cell_angle_gamma 90.00
_space_group_name_H-M_alt 'C m c m'
_space_group_IT_number 63
_space_group_name_Hall '-C 2c 2'
loop_
_atom_site_label
_atom_site_type_symbol
_atom_site_fract_x
_atom_site_fract_y
_atom_site_fract_z
Nd1 Nd 0.000 0.137 0.250
Pt1 Pt 0.000 0.413 0.250


[10]
# Th3Ni, relaxed, DFT PBE-GGA
# - ΔH_f (0 K) (meV/atom) = 181
data_Th3Ni
_chemical_formula_sum 'Th6 Ni2'
_cell_length_a 4.636
_cell_length_b 4.636
_cell_length_c 9.914
_cell_angle_alpha 90.00
_cell_angle_beta 90.00
_cell_angle_gamma 90.00
_space_group_name_H-M_alt 'I 4/m m m'
_space_group_IT_number 139
_space_group_name_Hall '-I 4 2'
loop_
_atom_site_label
_atom_site_type_symbol
_atom_site_fract_x
_atom_site_fract_y
_atom_site_fract_z
Th1 Th 0.000 0.000 0.000
Th2 Th 0.000 0.500 0.250
Ni1 Ni 0.000 0.000 0.500


[11]
# Ba11Cu5Bi8O29, relaxed, DFT PBE-GGA
# - ΔH_f (0 K) (meV/atom) = -1982
# - E (MP2020) (eV/atom) = -6.061
data_Ba11Cu5Bi8O29
_chemical_formula_sum 'Ba22 Cu10 Bi16 O58'
_cell_length_a 28.051
_cell_length_b 5.288
_cell_length_c 12.685
_cell_angle_alpha 90.00
_cell_angle_beta 90.04
_cell_angle_gamma 90.00
_space_group_name_H-M_alt 'C 1 2/m 1'
_space_group_IT_number 12
loop_
_space_group_symop_operation_xyz
'x,y,z'
'-x,-y,-z'
'-x,y,-z'
'x,-y,z'
'x+1/2,y+1/2,z'
'-x+1/2,-y+1/2,-z'
'-x+1/2,y+1/2,-z'
'x+1/2,-y+1/2,z'
loop_
_atom_site_label
_atom_site_type_symbol
_atom_site_fract_x
_atom_site_fract_y
_atom_site_fract_z
Ba1 Ba 0.000 0.000 0.000
Ba2 Ba 0.030 0.500 0.232
Ba3 Ba 0.065 0.000 0.453
Ba4 Ba 0.101 0.500 0.656
Ba5 Ba 0.136 0.000 0.851
Ba6 Ba 0.199 0.500 0.050
Cu1 Cu 0.000 0.500 0.500
Cu2 Cu 0.030 0.000 0.714
Cu3 Cu 0.067 0.500 0.920
Bi1 Bi 0.122 0.000 0.178
Bi2 Bi 0.165 0.500 0.368
Bi3 Bi 0.204 0.000 0.575
Bi4 Bi 0.248 0.000 0.265
O1 O 0.000 0.500 0.000
O2 O 0.018 0.254 0.603
O3 O 0.053 0.000 0.241
O4 O 0.053 0.238 0.813
O5 O 0.096 0.000 0.029
O6 O 0.097 0.500 0.433
O7 O 0.133 0.000 0.628
O8 O 0.135 0.500 0.209
O9 O 0.136 0.500 0.898
O10 O 0.182 0.000 0.365
O11 O 0.201 0.500 0.580
O12 O 0.223 0.000 0.095
O13 O 0.239 0.000 0.736